Record 1
VASP calculation (r²SCAN) on a geometry-optimized Pr3RhBr3 structure. Values from VASP.

The structure in Quantum ESPRESSO input format:
```
&SYSTEM
  ibrav = 0, nat = 28, ntyp = 3
/
ATOMIC_SPECIES
Pr 140.91 Pr.upf
Rh 102.91 Rh.upf
Br 79.90 Br.upf
CELL_PARAMETERS angstrom
9.428 -3.995 2.118
-5.946 -0.352 8.594
-4.523 -5.580 -7.598
ATOMIC_POSITIONS angstrom
Pr 0.050 -2.285 7.362
Pr 1.048 -4.648 -0.526
Pr 4.789 -5.709 -1.972
Pr -2.747 -5.218 -2.926
Pr -1.233 -1.546 -1.728
Pr -1.363 -0.292 2.225
Pr -2.775 -3.814 0.855
Pr -3.028 -2.635 5.218
Pr 2.275 -1.226 0.464
Pr 4.475 -4.556 1.600
Pr -6.139 -4.415 -1.497
Pr 0.487 -3.364 3.380
Rh -3.748 -2.878 -1.651
Rh -2.363 -3.745 7.753
Rh -0.260 -2.482 0.778
Rh -0.616 -1.175 4.826
Br 5.213 -5.540 4.562
Br -1.194 -7.654 -4.320
Br 0.385 -9.738 0.928
Br 1.592 -4.682 6.088
Br -3.357 -8.816 2.617
Br -1.590 -6.459 -0.305
Br 2.091 -7.281 -2.032
Br 0.140 -8.458 4.929
Br -5.505 -5.410 1.393
Br -5.840 -4.179 5.207
Br -2.047 -5.164 3.673
Br 1.786 -6.037 2.171
```

## Properties
E = -23.309 eV per atom
calculated volume = 31.4 Å³ per atom


Record 2
VASP calculation (r²SCAN) on a geometry-optimized RbScBr3 structure. Values from VASP.

The structure in Quantum ESPRESSO input format:
```
&SYSTEM
  ibrav = 0, nat = 10, ntyp = 3
/
ATOMIC_SPECIES
Br 79.90 Br.upf
Sc 44.96 Sc.upf
Rb 85.47 Rb.upf
CELL_PARAMETERS angstrom
0.000 0.000 -6.140
-3.875 -6.713 0.000
-3.876 6.713 0.000
ATOMIC_POSITIONS angstrom
Br -5.780 1.138 -1.535
Br -1.970 -1.138 -4.605
Br -5.780 -1.137 -4.605
Br -3.876 4.438 -1.535
Br -3.875 -4.437 -4.605
Br -1.971 1.138 -1.535
Sc 0.000 0.000 -3.070
Sc 0.000 0.000 -6.140
Rb -3.875 -2.237 -1.535
Rb -3.876 2.238 -4.605
```

## Properties
E = -14.898 eV per atom
calculated volume = 31.9 Å³ per atom